The following is a DFT calculation (GGA-PBE) of a geometry-optimized Na8Mg2Al2Si3S3O24 structure.

Calculated values
Electronic total energy, eV/cell: -778.779

Cell: 8.9229 8.9391 21.9119 Å, 87.51 87.07 60.97°
Space group P1 (No. 1)
Symmetry-distinct sites (fractional):
1 Na 0.0000 0.0000 0.0000 (multiplicity 1)
2 Na 0.0006 0.3100 0.4297 (multiplicity 1)
3 Na 0.0155 0.9242 0.6743 (multiplicity 1)
4 Na 0.0241 0.6594 0.1883 (multiplicity 1)
5 Na 0.0372 0.2815 0.9222 (multiplicity 1)
6 Na 0.0438 0.9614 0.3518 (multiplicity 1)
7 Na 0.0647 0.6088 0.8328 (multiplicity 1)
8 Na 0.3125 0.9720 0.8474 (multiplicity 1)
9 Na 0.3275 0.3496 0.3415 (multiplicity 1)
10 Na 0.3357 0.6345 0.7594 (multiplicity 1)
11 Na 0.3478 0.9900 0.5056 (multiplicity 1)
12 Na 0.3503 0.2567 0.0090 (multiplicity 1)
13 Na 0.3547 0.6204 0.2677 (multiplicity 1)
14 Na 0.3801 0.3085 0.6810 (multiplicity 1)
15 Na 0.3844 0.9528 0.1746 (multiplicity 1)
16 Na 0.6439 0.2973 0.1858 (multiplicity 1)
17 Na 0.6674 0.9799 0.0941 (multiplicity 1)
18 Na 0.6685 0.6649 0.6645 (multiplicity 1)
19 Na 0.6808 0.3224 0.8376 (multiplicity 1)
20 Na 0.6872 0.5981 0.3545 (multiplicity 1)
21 Na 0.7029 0.9493 0.5888 (multiplicity 1)
22 Na 0.7081 0.6443 0.0098 (multiplicity 1)
23 Na 0.7301 0.2744 0.5012 (multiplicity 1)
24 Na 0.9784 0.6381 0.5115 (multiplicity 1)
25 Mg 0.0062 0.3173 0.5710 (multiplicity 1)
26 Mg 0.0393 0.2915 0.0756 (multiplicity 1)
27 Mg 0.3413 0.6471 0.9043 (multiplicity 1)
28 Mg 0.3536 0.6396 0.4077 (multiplicity 1)
29 Mg 0.6878 0.9811 0.2467 (multiplicity 1)
30 Mg 0.6971 0.9706 0.7424 (multiplicity 1)
31 Al 0.0264 0.3192 0.2862 (multiplicity 1)
32 Al 0.0494 0.2916 0.7794 (multiplicity 1)
33 Al 0.3281 0.6445 0.5997 (multiplicity 1)
34 Al 0.3548 0.6342 0.1092 (multiplicity 1)
35 Al 0.6614 0.9800 0.9329 (multiplicity 1)
36 Al 0.7314 0.9450 0.4448 (multiplicity 1)
37 Si 0.0242 0.5929 0.6740 (multiplicity 1)
38 Si 0.0580 0.9349 0.5076 (multiplicity 1)
39 Si 0.3139 0.3062 0.1726 (multiplicity 1)
40 Si 0.3598 0.9240 0.0073 (multiplicity 1)
41 Si 0.3896 0.2662 0.8402 (multiplicity 1)
42 Si 0.6374 0.6448 0.5074 (multiplicity 1)
43 Si 0.6911 0.2619 0.3399 (multiplicity 1)
44 Si 0.9742 0.9762 0.8411 (multiplicity 1)
45 Si 0.9808 0.6753 0.3392 (multiplicity 1)
46 S 0.0230 0.0057 0.1733 (multiplicity 1)
47 S 0.0598 0.6381 0.0111 (multiplicity 1)
48 S 0.3104 0.0111 0.6765 (multiplicity 1)
49 S 0.3562 0.3434 0.5100 (multiplicity 1)
50 S 0.3896 0.9750 0.3402 (multiplicity 1)
51 S 0.6430 0.3475 0.0101 (multiplicity 1)
52 S 0.6893 0.6772 0.8430 (multiplicity 1)
53 S 0.7248 0.5918 0.1733 (multiplicity 1)
54 S 0.7278 0.3054 0.6774 (multiplicity 1)
55 O 0.0276 0.4891 0.0177 (multiplicity 1)
56 O 0.0400 0.1236 0.5161 (multiplicity 1)
57 O 0.0514 0.0831 0.2265 (multiplicity 1)
58 O 0.0544 0.4662 0.7363 (multiplicity 1)
59 O 0.1393 0.8088 0.5687 (multiplicity 1)
60 O 0.1447 0.6619 0.0646 (multiplicity 1)
61 O 0.1679 0.8161 0.8473 (multiplicity 1)
62 O 0.1687 0.6056 0.9557 (multiplicity 1)
63 O 0.1707 0.6539 0.3455 (multiplicity 1)
64 O 0.1738 0.8520 0.4473 (multiplicity 1)
65 O 0.1801 0.3380 0.2326 (multiplicity 1)
66 O 0.1821 0.8324 0.1662 (multiplicity 1)
67 O 0.1901 0.1152 0.0121 (multiplicity 1)
68 O 0.1962 0.2820 0.8373 (multiplicity 1)
69 O 0.1989 0.0945 0.7328 (multiplicity 1)
70 O 0.2044 0.3184 0.5187 (multiplicity 1)
71 O 0.2085 0.6067 0.6675 (multiplicity 1)
72 O 0.2146 0.1310 0.3336 (multiplicity 1)
73 O 0.2331 0.1153 0.6219 (multiplicity 1)
74 O 0.2356 0.2768 0.1124 (multiplicity 1)
75 O 0.3244 0.8386 0.6759 (multiplicity 1)
76 O 0.3267 0.4498 0.4547 (multiplicity 1)
77 O 0.3290 0.4887 0.1653 (multiplicity 1)
78 O 0.3313 0.8359 0.9501 (multiplicity 1)
79 O 0.3683 0.8217 0.3456 (multiplicity 1)
80 O 0.3733 0.4542 0.8488 (multiplicity 1)
81 O 0.3816 0.4282 0.5642 (multiplicity 1)
82 O 0.3917 0.7956 0.0692 (multiplicity 1)
83 O 0.4642 0.0064 0.3933 (multiplicity 1)
84 O 0.4716 0.1415 0.9018 (multiplicity 1)
85 O 0.4844 0.9929 0.6816 (multiplicity 1)
86 O 0.4954 0.9493 0.2832 (multiplicity 1)
87 O 0.5045 0.1378 0.1783 (multiplicity 1)
88 O 0.5051 0.1790 0.7801 (multiplicity 1)
89 O 0.5093 0.6700 0.5706 (multiplicity 1)
90 O 0.5115 0.1739 0.5064 (multiplicity 1)
91 O 0.5297 0.4320 0.0654 (multiplicity 1)
92 O 0.5304 0.4548 0.3469 (multiplicity 1)
93 O 0.5385 0.6513 0.8519 (multiplicity 1)
94 O 0.5434 0.9397 0.0005 (multiplicity 1)
95 O 0.5487 0.6071 0.1705 (multiplicity 1)
96 O 0.5564 0.4610 0.6735 (multiplicity 1)
97 O 0.5588 0.6053 0.4499 (multiplicity 1)
98 O 0.5690 0.4485 0.9545 (multiplicity 1)
99 O 0.6468 0.8292 0.5009 (multiplicity 1)
100 O 0.6492 0.1918 0.2798 (multiplicity 1)
101 O 0.6592 0.7852 0.7881 (multiplicity 1)
102 O 0.6603 0.1731 0.0091 (multiplicity 1)
103 O 0.7029 0.1515 0.6811 (multiplicity 1)
104 O 0.7047 0.7663 0.1768 (multiplicity 1)
105 O 0.7164 0.7609 0.8974 (multiplicity 1)
106 O 0.7207 0.1302 0.4001 (multiplicity 1)
107 O 0.8055 0.4833 0.2278 (multiplicity 1)
108 O 0.8098 0.3274 0.7318 (multiplicity 1)
109 O 0.8165 0.3316 0.0162 (multiplicity 1)
110 O 0.8281 0.5135 0.1168 (multiplicity 1)
111 O 0.8313 0.4835 0.5130 (multiplicity 1)
112 O 0.8363 0.2786 0.6221 (multiplicity 1)
113 O 0.8435 0.0054 0.9040 (multiplicity 1)
114 O 0.8450 0.5069 0.8394 (multiplicity 1)
115 O 0.8536 0.7632 0.3992 (multiplicity 1)
116 O 0.8546 0.7838 0.6799 (multiplicity 1)
117 O 0.8646 0.9507 0.5045 (multiplicity 1)
118 O 0.8710 0.9798 0.1782 (multiplicity 1)
119 O 0.8771 0.2673 0.3300 (multiplicity 1)
120 O 0.8901 0.7958 0.0070 (multiplicity 1)
121 O 0.8974 0.7836 0.2773 (multiplicity 1)
122 O 0.8987 0.9341 0.7834 (multiplicity 1)
123 O 0.9843 0.1598 0.8330 (multiplicity 1)
124 O 0.9935 0.1159 0.1178 (multiplicity 1)
125 O 0.9956 0.5065 0.6163 (multiplicity 1)
126 O 0.9978 0.4804 0.3382 (multiplicity 1)


The following is a DFT calculation (GGA-PBE) of a geometry-optimized Pr2Au5F21 structure.

Calculated values
Electronic total energy, eV/cell: -475.783

Cell: 8.4568 8.4568 26.3404 Å, 90.00 90.00 90.00°
Space group P4_12_12 (No. 92)
Symmetry-distinct sites (fractional):
1 Pr 0.0513 0.4285 0.4980 (multiplicity 8)
2 Au 0.0648 0.0648 0.0000 (multiplicity 4)
3 Au 0.0953 0.1434 0.8444 (multiplicity 8)
4 Au 0.1785 0.2046 0.6391 (multiplicity 8)
5 F 0.0260 0.8564 0.6079 (multiplicity 8)
6 F 0.0383 0.3106 0.7953 (multiplicity 8)
7 F 0.0497 0.3187 0.6898 (multiplicity 8)
8 F 0.0644 0.3181 0.5855 (multiplicity 8)
9 F 0.0653 0.2969 0.9977 (multiplicity 8)
10 F 0.0694 0.8317 0.9999 (multiplicity 8)
11 F 0.0815 0.3008 0.4110 (multiplicity 8)
12 F 0.0873 0.2797 0.1988 (multiplicity 8)
13 F 0.0869 0.8019 0.3852 (multiplicity 8)
14 F 0.0904 0.2839 0.3050 (multiplicity 8)
15 F 0.2224 0.7776 0.7500 (multiplicity 4)


no.,density (g cm⁻³)
1,2.78
2,5.87